The following is a DFT calculation (PBE with a Hubbard U) of crystalline SrLiNdCoO4 at its relaxed geometry.

abc: 5.072 3.784 6.941
angles: 82.56 64.58 93.28
Sites, in units of the cell vectors:
Sr: 0.273 0.358 0.248
Li: 0.924 0.300 0.803
Nd: 0.467 0.791 0.694
Co: 0.859 0.874 0.125
O: 0.307 0.283 0.590
O: 0.904 0.814 0.390
O: 0.599 0.937 0.969
O: 0.024 0.446 0.012

Computed properties:
total magnetic moment = 3.00 μB/cell
ΔE to the lowest computed polymorph = 5.3 kJ/mol of atoms
volume = 14.8 Å³ per atom
formation energy from the elements = -2.508 eV per atom
crystal system = triclinic
E_tot = -0.4680 Ry/atom